Material: Pm3Hg
Method: DFT, r²SCAN
State: optimized geometry

Lattice parameters (Å, degrees): 7.0447 7.0447 5.4864 90.00 90.00 120.00
Sites, in units of the cell vectors:
Pm  0.3524  0.1762  0.7500
Pm  0.1762  0.3525  0.2500
Hg  0.6667  0.3333  0.2500
Hg  0.3333  0.6666  0.7500
Pm  0.6476  0.8238  0.2500
Pm  0.8238  0.6476  0.7500
Pm  0.1762  0.8238  0.2500
Pm  0.8238  0.1762  0.7500

Computed properties:
Total energy: -277.778 eV/cell
Space group: P6_3/mmc (194)
Total magnetization: 2.22 μB/cell